# 1
First-principles (PBE-GGA) data for an optimized crystal structure of ZrI4, as listed in the Materials Project database.

a = 8.852 Å, b = 8.940 Å, c = 18.548 Å
α = 77.30°, β = 90.00°, γ = 90.00°
Element x y z (fractional)
Zr 0.390 0.000 0.250
I 0.109 0.397 0.908
I 0.891 0.397 0.408
I 0.126 0.220 0.259
I 0.874 0.780 0.741
I 0.642 0.621 0.572
I 0.883 0.934 0.424
I 0.341 0.928 0.409
Zr 0.879 0.810 0.582
I 0.642 0.379 0.928
I 0.126 0.780 0.241
Zr 0.610 0.000 0.750
Zr 0.879 0.190 0.918
I 0.411 0.236 0.741
I 0.589 0.236 0.241
Zr 0.121 0.810 0.082
I 0.341 0.072 0.091
I 0.883 0.066 0.076
I 0.109 0.603 0.592
I 0.411 0.764 0.759
I 0.659 0.072 0.591
I 0.358 0.379 0.428
I 0.659 0.928 0.909
I 0.358 0.621 0.072
I 0.117 0.934 0.924
I 0.117 0.066 0.576
Zr 0.121 0.190 0.418
I 0.589 0.764 0.259
I 0.891 0.603 0.092
I 0.874 0.220 0.759

Output
mass density	4.2	g/cm3
E (MP2020)	-124.7	eV for the cell shown
ΔE_f	-1.228	eV/atom


# 2
First-principles (PBE-GGA) data for an optimized crystal structure of Li7Si3, as listed in the Materials Project database.

a = 7.580 Å, b = 7.580 Å, c = 18.003 Å
α = 90.00°, β = 90.00°, γ = 120.00°
Element x y z (fractional)
Li 0.221 0.802 0.960
Li 0.555 0.111 0.333
Si 0.876 0.759 0.899
Li 0.553 0.777 0.000
Li 0.581 0.779 0.293
Si 0.884 0.759 0.768
Li 0.890 0.800 0.622
Si 0.546 0.110 0.768
Li 0.890 0.090 0.378
Si 0.884 0.124 0.232
Li 0.889 0.421 0.707
Li 0.223 0.447 0.333
Si 0.538 0.773 0.435
Li 0.532 0.111 0.040
Si 0.546 0.436 0.232
Li 0.889 0.442 0.850
Li 0.220 0.111 0.865
Li 0.891 0.780 0.198
Li 0.889 0.468 0.293
Li 0.220 0.778 0.516
Li 0.555 0.445 0.667
Li 0.581 0.802 0.707
Li 0.200 0.090 0.289
Si 0.241 0.116 0.566
Li 0.198 0.779 0.373
Li 0.558 0.111 0.484
Li 0.220 0.109 0.135
Li 0.222 0.441 0.183
Li 0.889 0.447 0.150
Si 0.235 0.462 0.768
Li 0.889 0.109 0.532
Li 0.559 0.780 0.850
Si 0.235 0.773 0.232
Li 0.200 0.110 0.711
Li 0.558 0.447 0.516
Li 0.222 0.780 0.817
Si 0.564 0.454 0.101
Si 0.227 0.462 0.899
Li 0.553 0.111 0.183
Si 0.241 0.124 0.434
Si 0.890 0.454 0.565
Li 0.559 0.778 0.150
Li 0.579 0.468 0.374
Li 0.532 0.421 0.960
Si 0.890 0.436 0.435
Li 0.220 0.441 0.484
Li 0.891 0.111 0.802
Li 0.553 0.442 0.817
Si 0.564 0.110 0.899
Li 0.889 0.780 0.468
Li 0.910 0.110 0.955
Li 0.198 0.419 0.627
Si 0.876 0.116 0.101
Li 0.910 0.800 0.045
Si 0.538 0.765 0.565
Li 0.223 0.777 0.667
Li 0.889 0.445 0.000
Si 0.227 0.765 0.101
Li 0.579 0.111 0.626
Li 0.221 0.419 0.040

Output
size of the total moment	0.0	μB per formula unit
mass density	1.5	g/cm3
E (MP2020)	-192.5	eV for the cell shown
ΔE_f	-0.244	eV/atom


# 3
First-principles (PBE-GGA) data for an optimized crystal structure of PICl8, as listed in the Materials Project database.

a = 12.295 Å, b = 12.295 Å, c = 12.295 Å
α = 118.31°, β = 117.25°, γ = 93.90°
Element x y z (fractional)
Cl 0.599 0.540 0.941
Cl 0.901 0.842 0.941
Cl 0.764 0.087 0.980
Cl 0.226 0.402 0.485
Cl 0.401 0.970 0.569
Cl 0.264 0.284 0.677
Cl 0.917 0.402 0.176
Cl 0.274 0.759 0.176
P 0.254 0.254 0.500
Cl 0.901 0.332 0.431
Cl 0.236 0.913 0.020
Cl 0.099 0.668 0.569
Cl 0.417 0.241 0.515
Cl 0.250 0.021 0.771
Cl 0.447 0.308 0.255
Cl 0.599 0.030 0.431
Cl 0.583 0.759 0.485
I 0.750 0.178 0.428
Cl 0.401 0.460 0.059
P 0.246 0.746 0.000
Cl 0.774 0.598 0.515
Cl 0.553 0.692 0.745
Cl 0.393 0.716 0.980
Cl 0.947 0.692 0.139
Cl 0.736 0.716 0.323
I 0.250 0.822 0.572
Cl 0.750 0.381 0.631
Cl 0.607 0.284 0.020
I 0.750 0.690 0.940
Cl 0.099 0.158 0.059
Cl 0.726 0.241 0.824
Cl 0.893 0.913 0.677
P 0.754 0.254 0.000
Cl 0.250 0.619 0.369
I 0.250 0.310 0.060
Cl 0.107 0.087 0.323
P 0.746 0.746 0.500
Cl 0.053 0.308 0.861
Cl 0.750 0.979 0.229
Cl 0.083 0.598 0.824

Output
mass density	2.2	g/cm3
E (MP2020)	-125.4	eV for the cell shown
ΔE_f	-0.963	eV/atom


# 4
First-principles (PBE-GGA) data for an optimized crystal structure of PaInO4, as listed in the Materials Project database.

a = 3.800 Å, b = 3.800 Å, c = 5.294 Å
α = 90.00°, β = 90.00°, γ = 90.00°
Element x y z (fractional)
O 0.500 0.000 0.745
In 0.000 0.000 0.000
O 0.500 0.000 0.255
O 0.000 0.500 0.745
O 0.000 0.500 0.255
Pa 0.500 0.500 0.500

Output
mass density	8.9	g/cm3
E (MP2020)	-50.9	eV for the cell shown
ΔE_f	-3.141	eV/atom


Question: Look up the mass density of the first one.
Answer: 4.2 g/cm3


Copy entry 4 word for word.
First-principles (PBE-GGA) data for an optimized crystal structure of PaInO4, as listed in the Materials Project database.

a = 3.800 Å, b = 3.800 Å, c = 5.294 Å
α = 90.00°, β = 90.00°, γ = 90.00°
Element x y z (fractional)
O 0.500 0.000 0.745
In 0.000 0.000 0.000
O 0.500 0.000 0.255
O 0.000 0.500 0.745
O 0.000 0.500 0.255
Pa 0.500 0.500 0.500

Output
mass density	8.9	g/cm3
E (MP2020)	-50.9	eV for the cell shown
ΔE_f	-3.141	eV/atom


Question: What is the ΔE_f in the second record?
Answer: -0.244 eV/atom